No. 1
# Li3V3P8O29

Crystalline Li3V3P8O29 at its relaxed geometry (GGA+U, Materials Project).

Geometry as POSCAR:
```
Li3V3P8O29
1.0
-7.592 -5.157 3.285
-0.268 -9.657 -1.376
6.630 -2.052 12.453
Li V P O
6 6 16 58
Direct
0.323 0.907 0.048
0.909 0.770 0.052
0.216 0.082 0.449
0.773 0.915 0.567
0.087 0.692 0.453
0.973 0.047 0.986
0.438 0.997 0.250
0.562 0.009 0.755
0.999 0.430 0.752
0.001 0.559 0.246
0.567 0.435 0.249
0.438 0.561 0.748
0.775 0.304 0.840
0.912 0.312 0.340
0.313 0.770 0.343
0.666 0.669 0.132
0.670 0.670 0.632
0.313 0.908 0.838
0.228 0.089 0.660
0.913 0.775 0.842
0.086 0.218 0.156
0.773 0.906 0.345
0.694 0.086 0.164
0.332 0.333 0.366
0.329 0.337 0.869
0.691 0.227 0.655
0.092 0.681 0.663
0.227 0.692 0.158
0.769 0.227 0.567
0.741 0.343 0.333
0.011 0.204 0.071
0.911 0.345 0.831
0.615 0.459 0.830
0.671 0.520 0.176
0.474 0.618 0.323
0.219 0.788 0.076
0.348 0.736 0.830
0.820 0.528 0.679
0.905 0.475 0.317
0.529 0.658 0.679
0.658 0.682 0.028
0.675 0.668 0.528
0.511 0.815 0.175
0.916 0.616 0.831
0.815 0.675 0.170
0.338 0.916 0.339
0.206 0.998 0.749
0.237 0.009 0.571
0.228 0.983 0.927
0.471 0.911 0.826
0.664 0.823 0.672
0.261 0.081 0.165
0.621 0.898 0.320
0.921 0.739 0.333
0.000 0.203 0.249
0.003 0.237 0.425
0.002 0.762 0.576
0.084 0.259 0.669
0.380 0.097 0.681
0.740 0.914 0.830
0.335 0.180 0.325
0.535 0.084 0.176
0.792 0.994 0.083
0.763 0.976 0.438
0.788 0.010 0.261
0.659 0.084 0.664
0.184 0.332 0.826
0.084 0.380 0.171
0.481 0.187 0.825
0.332 0.332 0.973
0.321 0.339 0.469
0.476 0.338 0.320
0.097 0.523 0.679
0.182 0.480 0.320
0.657 0.259 0.167
0.797 0.202 0.747
0.794 0.208 0.925
0.531 0.380 0.676
0.331 0.482 0.823
0.385 0.535 0.172
0.086 0.657 0.161
0.982 0.793 0.930
0.003 0.794 0.752
0.261 0.655 0.665
0.231 0.763 0.429
0.204 0.792 0.253
```

Results
Excess energy over the best structure of this formula in the dataset in eV per formula unit: 0.60
Symmetry: P1

=====

No. 2
# Li4Co3Sn2Sb3O16

Crystalline Li4Co3Sn2Sb3O16 at its relaxed geometry (GGA+U, Materials Project).

Geometry as POSCAR:
```
Li4Co3Sn2Sb3O16
1.0
-3.102 5.372 0.000
-0.126 -0.073 19.828
6.231 0.016 -0.039
Li Co Sn Sb O
8 6 4 6 32
Direct
0.661 0.443 0.322
0.661 0.943 0.322
0.988 0.491 0.976
0.988 0.991 0.976
0.993 0.251 0.986
0.993 0.751 0.986
0.325 0.204 0.650
0.325 0.704 0.650
0.662 0.356 0.835
0.662 0.856 0.835
0.174 0.356 0.835
0.174 0.856 0.835
0.831 0.607 0.662
0.831 0.107 0.662
0.678 0.251 0.356
0.678 0.752 0.356
0.345 0.489 0.690
0.345 0.989 0.690
0.172 0.357 0.344
0.172 0.857 0.344
0.832 0.108 0.170
0.832 0.608 0.170
0.338 0.108 0.170
0.338 0.608 0.170
0.516 0.169 0.032
0.516 0.669 0.032
0.660 0.053 0.321
0.660 0.553 0.321
0.003 0.158 0.006
0.003 0.658 0.007
0.010 0.401 0.019
0.010 0.901 0.019
0.162 0.052 0.323
0.162 0.552 0.323
0.843 0.298 0.685
0.843 0.798 0.685
0.324 0.303 0.648
0.324 0.803 0.648
0.485 0.421 0.969
0.485 0.921 0.969
0.851 0.297 0.179
0.850 0.797 0.178
0.328 0.297 0.178
0.328 0.797 0.178
0.960 0.170 0.470
0.960 0.670 0.470
0.510 0.170 0.470
0.510 0.670 0.470
0.472 0.422 0.504
0.472 0.922 0.503
0.032 0.422 0.503
0.032 0.922 0.503
0.680 0.050 0.847
0.680 0.550 0.847
0.167 0.050 0.847
0.167 0.550 0.847
```

=====

No. 3
# TiMnO3

Crystalline TiMnO3 at its relaxed geometry (GGA+U, Materials Project).

Geometry as POSCAR:
```
TiMnO3
1.0
-4.381 -7.268 6.078
1.598 -0.879 2.748
-0.017 6.502 -1.800
Ti Mn O
2 2 6
Direct
0.258 0.301 0.684
0.742 0.699 0.316
0.781 0.731 0.896
0.219 0.269 0.104
0.200 0.629 0.422
0.429 0.920 0.066
0.892 0.366 0.201
0.800 0.371 0.578
0.571 0.080 0.934
0.108 0.634 0.799
```

Results
Symmetry: P-1

=====

No. 4
# Li3V2P3O12

Crystalline Li3V2P3O12 at its relaxed geometry (GGA+U, Materials Project).

Geometry as POSCAR:
```
Li3V2P3O12
1.0
-3.739 -8.738 2.462
-0.870 2.178 9.534
-9.273 3.014 -0.889
Li V P O
12 8 12 48
Direct
0.015 0.495 0.760
0.379 0.250 0.194
0.218 0.436 0.533
0.235 0.266 0.820
0.703 0.076 0.025
0.998 0.744 0.612
0.256 0.002 0.388
0.924 0.297 0.975
0.734 0.765 0.180
0.564 0.782 0.467
0.750 0.621 0.806
0.505 0.985 0.240
0.030 0.751 0.218
0.747 0.034 0.719
0.748 0.252 0.500
0.531 0.469 0.500
0.249 0.751 0.000
0.468 0.532 0.000
0.966 0.253 0.281
0.249 0.970 0.782
0.174 0.055 0.097
0.050 0.179 0.595
0.156 0.448 0.071
0.442 0.162 0.571
0.652 0.319 0.197
0.341 0.681 0.302
0.319 0.659 0.698
0.681 0.348 0.803
0.838 0.558 0.429
0.552 0.844 0.929
0.821 0.950 0.405
0.945 0.826 0.903
0.032 0.128 0.131
0.112 0.040 0.656
0.081 0.179 0.437
0.208 0.092 0.942
0.285 0.088 0.189
0.103 0.302 0.657
0.090 0.388 0.207
0.403 0.093 0.447
0.371 0.120 0.710
0.098 0.397 0.943
0.123 0.609 0.075
0.313 0.410 0.073
0.578 0.197 0.155
0.406 0.322 0.555
0.603 0.130 0.583
0.194 0.595 0.651
0.183 0.688 0.331
0.703 0.192 0.844
0.394 0.543 0.370
0.622 0.329 0.358
0.824 0.110 0.370
0.164 0.894 0.124
0.541 0.402 0.866
0.379 0.673 0.140
0.327 0.621 0.860
0.598 0.459 0.134
0.106 0.836 0.876
0.890 0.176 0.630
0.671 0.378 0.642
0.457 0.606 0.630
0.808 0.297 0.156
0.312 0.817 0.669
0.405 0.806 0.349
0.870 0.397 0.417
0.678 0.594 0.445
0.803 0.422 0.845
0.590 0.687 0.927
0.391 0.877 0.925
0.603 0.902 0.057
0.880 0.629 0.290
0.907 0.597 0.553
0.612 0.910 0.793
0.698 0.897 0.343
0.912 0.715 0.811
0.908 0.792 0.058
0.821 0.919 0.563
0.960 0.888 0.344
0.872 0.968 0.869
```

Results
Excess energy over the best structure of this formula in the dataset in eV per formula unit: 1.11
Symmetry: C2

=====

No. 5
# MgCrGaO4

Crystalline MgCrGaO4 at its relaxed geometry (GGA+U, Materials Project).

Geometry as POSCAR:
```
MgCrGaO4
1.0
5.185 0.017 0.736
-5.197 2.944 -0.730
0.548 -0.008 5.205
Mg Cr Ga O
1 1 1 4
Direct
0.204 0.000 0.202
0.532 0.000 0.526
0.417 0.500 0.911
0.193 0.000 0.818
0.195 0.500 0.687
0.822 0.000 0.187
0.857 0.500 0.353
```

Results
Excess energy over the best structure of this formula in the dataset in eV per formula unit: 0.22
Symmetry: Pm

=====

No. 6
# LiCoPO4

Crystalline LiCoPO4 at its relaxed geometry (GGA+U, Materials Project).

Geometry as POSCAR:
```
LiCoPO4
1.0
0.000 5.324 0.000
-2.306 0.000 7.707
8.406 0.000 0.239
Li Co P O
4 4 4 16
Direct
0.340 0.867 0.206
0.660 0.867 0.706
0.831 0.369 0.390
0.169 0.369 0.890
0.153 0.972 0.576
0.333 0.491 0.272
0.847 0.972 0.076
0.667 0.491 0.772
0.667 0.251 0.012
0.333 0.251 0.512
0.829 0.738 0.327
0.171 0.738 0.827
0.174 0.874 0.998
0.826 0.874 0.497
0.396 0.322 0.055
0.604 0.322 0.555
0.702 0.814 0.195
0.298 0.814 0.695
0.110 0.693 0.280
0.890 0.693 0.780
0.803 0.227 0.170
0.197 0.227 0.670
0.679 0.578 0.342
0.321 0.578 0.842
0.188 0.378 0.434
0.812 0.378 0.934
0.327 0.065 0.397
0.673 0.065 0.897
```

Results
Excess energy over the best structure of this formula in the dataset in eV per formula unit: 0.33
Symmetry: Pc

=====

No. 7
# MgFe6O6F6

Crystalline MgFe6O6F6 at its relaxed geometry (GGA+U, Materials Project).

Geometry as POSCAR:
```
MgFe6O6F6
1.0
-5.147 0.327 -0.035
-0.383 4.846 -6.089
0.315 -4.892 -3.079
Mg Fe O F
1 6 6 6
Direct
0.025 0.817 0.344
0.540 0.674 0.108
0.485 0.028 0.489
0.491 0.325 0.841
0.968 0.624 0.754
0.988 0.334 0.327
0.006 0.003 0.955
0.835 0.772 0.021
0.676 0.098 0.783
0.699 0.427 0.130
0.334 0.564 0.857
0.288 0.246 0.526
0.323 0.893 0.202
0.790 0.409 0.614
0.829 0.082 0.314
0.710 0.770 0.488
0.193 0.243 0.035
0.133 0.570 0.385
0.202 0.911 0.649
```

Results
Excess energy over the best structure of this formula in the dataset in eV per formula unit: 0.70
Symmetry: P1

=====

No. 8
# V2GaO5

Crystalline V2GaO5 at its relaxed geometry (GGA+U, Materials Project).

Geometry as POSCAR:
```
V2GaO5
1.0
0.115 -2.394 -4.479
-3.089 -6.529 3.515
-4.903 8.025 -1.650
V Ga O
6 3 15
Direct
0.006 0.006 0.005
0.178 0.390 0.387
0.164 0.684 0.043
0.580 0.953 0.694
0.629 0.047 0.299
0.803 0.583 0.619
0.166 0.246 0.661
0.905 0.345 0.005
0.798 0.727 0.336
0.920 0.011 0.473
0.944 0.125 0.245
0.182 0.315 0.159
0.116 0.384 0.884
0.112 0.432 0.600
0.448 0.675 0.556
0.450 0.793 0.271
0.342 0.919 0.067
0.660 0.118 0.943
0.503 0.157 0.678
0.545 0.321 0.452
0.890 0.561 0.412
0.856 0.611 0.116
0.856 0.687 0.850
0.945 0.909 0.744
```

Results
Excess energy over the best structure of this formula in the dataset in eV per formula unit: 1.50
Symmetry: P1

=====

Number 1: energy relative to the elements -2.52 eV/atom. Number 2: energy relative to the elements -1.91 eV/atom. Number 3: energy relative to the elements -2.76 eV/atom. Number 4: energy relative to the elements -2.67 eV/atom. Number 5: energy relative to the elements -2.31 eV/atom. Number 6: energy relative to the elements -2.36 eV/atom. Number 7: energy relative to the elements -2.11 eV/atom. Number 8: energy relative to the elements -2.25 eV/atom.